No. 1
First-principles (PBE) data for a geometry-optimized SrH16O10 structure, as listed in the Materials Project.

ρ = 1910 kg/m³
energy relative to the lowest polymorph listed for this composition = 46 meV per atom
energy of formation from the pure elements = -1.356 eV per atom

Unit cell a=8.9209 b=8.8617 c=11.6072 alpha=90.00 beta=91.76 gamma=90.00
Space group C2/c (No. 15)
Symmetry-distinct sites (fractional):
Sr1 0.0000 0.0000 0.0000 x4
H1 0.0524 0.3287 0.1105 x8
H2 0.0594 0.3295 0.8898 x8
H3 0.1152 0.2039 0.7928 x8
H4 0.1700 0.4476 0.3918 x8
H5 0.1727 0.4411 0.6108 x8
H6 0.1977 0.1090 0.2927 x8
H7 0.2030 0.2400 0.1127 x8
H8 0.2406 0.2028 0.6162 x8
O1 0.0005 0.4958 0.5651 x8
O2 0.0953 0.2253 0.1271 x8
O3 0.1006 0.2233 0.8750 x8
O4 0.2242 0.1067 0.3756 x8
O5 0.2282 0.0923 0.6292 x8



No. 2
First-principles (PBE) data for a geometry-optimized SrH4O6 structure, as listed in the Materials Project.

ρ = 3006 kg/m³
energy relative to the lowest polymorph listed for this composition = 176 meV per atom
energy of formation from the pure elements = -1.204 eV per atom

Unit cell a=8.2413 b=6.0126 c=8.5318 alpha=90.00 beta=101.30 gamma=90.00
Space group C2/c (No. 15)
Symmetry-distinct sites (fractional):
Sr1 0.0000 0.1665 0.2500 x4
H1 0.0898 0.2977 0.6306 x8
H2 0.2047 0.4815 0.9470 x8
O1 0.0183 0.4707 0.9199 x8
O2 0.1699 0.0141 0.5422 x8
O3 0.1758 0.1706 0.6785 x8



No. 3
First-principles (PBE) data for a geometry-optimized SrH4O3 structure, as listed in the Materials Project.

ρ = 2746 kg/m³
energy relative to the lowest polymorph listed for this composition = 49 meV per atom
maximum piezoelectric response = 0.7 C/m²
energy of formation from the pure elements = -1.751 eV per atom

Unit cell a=3.9372 b=5.6802 c=7.5765 alpha=90.32 beta=92.47 gamma=93.91
Space group P1 (No. 1)
Symmetry-distinct sites (fractional):
Sr1 0.0000 0.0000 0.0000 x1
Sr2 0.0088 0.2712 0.4815 x1
H1 0.2149 0.7437 0.3624 x1
H2 0.3261 0.5991 0.8553 x1
H3 0.4690 0.9081 0.7271 x1
H4 0.4963 0.0379 0.2601 x1
H5 0.5062 0.4525 0.2818 x1
H6 0.6182 0.1861 0.7293 x1
H7 0.7917 0.4883 0.8431 x1
H8 0.8011 0.7352 0.3620 x1
O1 0.0157 0.8459 0.3371 x1
O2 0.4697 0.7448 0.8833 x1
O3 0.4808 0.0627 0.6499 x1
O4 0.5070 0.5502 0.3916 x1
O5 0.5341 0.1685 0.1793 x1
O6 0.9264 0.3576 0.8072 x1



No. 4
First-principles (PBE) data for a geometry-optimized SrH4O6 structure, as listed in the Materials Project.

ρ = 3002 kg/m³
energy relative to the lowest polymorph listed for this composition = 341 meV per atom
energy of formation from the pure elements = -1.039 eV per atom

Unit cell a=7.8308 b=8.7522 c=6.0579 alpha=90.00 beta=90.86 gamma=90.00
Space group C2/c (No. 15)
Symmetry-distinct sites (fractional):
Sr1 0.0000 0.1924 0.2500 x4
H1 0.1575 0.4471 0.9235 x8
H2 0.1600 0.1598 0.7455 x8
O1 0.1501 0.0820 0.6107 x8
O2 0.1661 0.4343 0.4385 x8
O3 0.1843 0.2747 0.9140 x8



No. 5
First-principles (PBE) data for a geometry-optimized SrH16O10 structure, as listed in the Materials Project.

ρ = 1882 kg/m³
energy relative to the lowest polymorph listed for this composition = 30 meV per atom
energy of formation from the pure elements = -1.372 eV per atom

Unit cell a=6.3546 b=6.4744 c=11.3181 alpha=90.43 beta=90.96 gamma=91.76
Space group P1 (No. 1)
Symmetry-distinct sites (fractional):
Sr1 0.0000 0.0000 0.0000 x1
Sr2 0.0108 0.0029 0.5215 x1
H1 0.0269 0.3694 0.3916 x1
H2 0.0362 0.5550 0.6332 x1
H3 0.1441 0.6831 0.7951 x1
H4 0.1653 0.2862 0.2182 x1
H5 0.2743 0.6065 0.9080 x1
H6 0.2805 0.6181 0.6174 x1
H7 0.2870 0.3986 0.4108 x1
H8 0.3013 0.8671 0.3084 x1
H9 0.3044 0.3699 0.1108 x1
H10 0.3301 0.1572 0.7285 x1
H11 0.3676 0.9769 0.1348 x1
H12 0.3851 0.7394 0.4196 x1
H13 0.3927 0.7258 0.1151 x1
H14 0.3962 0.2748 0.9081 x1
H15 0.4008 0.2925 0.6156 x1
H16 0.4495 0.0344 0.8884 x1
H17 0.5593 0.9808 0.6369 x1
H18 0.5737 0.0650 0.3986 x1
H19 0.5999 0.7196 0.9071 x1
H20 0.6087 0.7411 0.6181 x1
H21 0.6250 0.2893 0.1129 x1
H22 0.6427 0.0377 0.1368 x1
H23 0.6732 0.8619 0.7978 x1
H24 0.6970 0.6129 0.4123 x1
H25 0.7145 0.6382 0.1147 x1
H26 0.7192 0.1608 0.3017 x1
H27 0.7242 0.3889 0.9028 x1
H28 0.7249 0.4034 0.6077 x1
H29 0.8435 0.7274 0.2272 x1
H30 0.8555 0.3296 0.7211 x1
H31 0.9545 0.6033 0.4002 x1
H32 0.9648 0.4506 0.8869 x1
O1 0.1358 0.6687 0.8829 x1
O2 0.1373 0.6766 0.6394 x1
O3 0.1599 0.3010 0.3817 x1
O4 0.1911 0.2639 0.1331 x1
O5 0.2995 0.8404 0.1428 x1
O6 0.3208 0.8798 0.3949 x1
O7 0.3322 0.1338 0.8827 x1
O8 0.3436 0.1511 0.6407 x1
O9 0.4766 0.5346 0.4482 x1
O10 0.4968 0.5226 0.5796 x1
O11 0.5007 0.4965 0.9421 x1
O12 0.5089 0.5016 0.0741 x1
O13 0.6579 0.8637 0.8859 x1
O14 0.6747 0.8801 0.6453 x1
O15 0.7131 0.1339 0.3876 x1
O16 0.7171 0.1724 0.1417 x1
O17 0.8254 0.7453 0.1409 x1
O18 0.8365 0.6933 0.3895 x1
O19 0.8628 0.3306 0.8764 x1
O20 0.8642 0.3437 0.6332 x1



No. 6
First-principles (PBE) data for a geometry-optimized SrH4O6 structure, as listed in the Materials Project.

ρ = 2807 kg/m³
energy relative to the lowest polymorph listed for this composition = 123 meV per atom
energy of formation from the pure elements = -1.257 eV per atom

Unit cell a=8.4479 b=5.8530 c=9.3884 alpha=90.00 beta=106.95 gamma=90.00
Space group Cc (No. 9)
Symmetry-distinct sites (fractional):
Sr1 0.0000 0.1148 0.0000 x4
H1 0.0802 0.2757 0.7262 x4
H2 0.1575 0.1447 0.3518 x4
H3 0.2348 0.4106 0.6238 x4
H4 0.2595 0.1576 0.7962 x4
O1 0.1416 0.1228 0.7542 x4
O2 0.1742 0.2400 0.4413 x4
O3 0.3000 0.3075 0.0512 x4
O4 0.3179 0.4747 0.1736 x4
O5 0.4858 0.0684 0.8344 x4
O6 0.4921 0.0110 0.7001 x4



No. 7
First-principles (PBE) data for a geometry-optimized SrH16O10 structure, as listed in the Materials Project.

ρ = 1738 kg/m³
energy relative to the lowest polymorph listed for this composition = 45 meV per atom
energy of formation from the pure elements = -1.357 eV per atom

Unit cell a=10.3937 b=8.6978 c=11.4443 alpha=90.00 beta=102.99 gamma=90.00
Space group Cc (No. 9)
Symmetry-distinct sites (fractional):
Sr1 0.0000 0.0067 0.0000 x4
H1 0.0000 0.3177 0.3765 x4
H2 0.0673 0.3180 0.8866 x4
H3 0.0797 0.3429 0.5975 x4
H4 0.0957 0.2130 0.7847 x4
H5 0.1811 0.1399 0.3561 x4
H6 0.2007 0.2238 0.6436 x4
H7 0.2167 0.4423 0.0706 x4
H8 0.2277 0.4673 0.3359 x4
H9 0.2546 0.0956 0.2065 x4
H10 0.2695 0.1711 0.0862 x4
H11 0.2920 0.2773 0.3428 x4
H12 0.3223 0.4168 0.1891 x4
H13 0.3469 0.2244 0.5455 x4
H14 0.4047 0.0420 0.4092 x4
H15 0.4633 0.2828 0.7589 x4
H16 0.4843 0.1444 0.5907 x4
O1 0.9997 0.4980 0.9221 x4
O2 0.0010 0.2094 0.3464 x4
O3 0.0535 0.4946 0.0536 x4
O4 0.0977 0.2131 0.8717 x4
O5 0.1047 0.2306 0.6287 x4
O6 0.2345 0.0786 0.1173 x4
O7 0.2752 0.1417 0.3537 x4
O8 0.3104 0.4163 0.3338 x4
O9 0.3124 0.4138 0.0992 x4
O10 0.4314 0.2438 0.6016 x4



No. 8
First-principles (PBE) data for a geometry-optimized SrH16O10 structure, as listed in the Materials Project.

ρ = 1908 kg/m³
energy relative to the lowest polymorph listed for this composition = 23 meV per atom
energy of formation from the pure elements = -1.379 eV per atom

Unit cell a=6.2622 b=6.4738 c=11.3266 alpha=89.36 beta=89.95 gamma=89.28
Space group P1 (No. 1)
Symmetry-distinct sites (fractional):
Sr1 0.0000 0.0000 0.0000 x1
Sr2 0.0089 0.0130 0.5049 x1
H1 0.0260 0.5747 0.1354 x1
H2 0.0449 0.4580 0.8856 x1
H3 0.0497 0.3098 0.1344 x1
H4 0.1047 0.6735 0.3174 x1
H5 0.1504 0.3163 0.7217 x1
H6 0.2715 0.6296 0.1272 x1
H7 0.2845 0.3856 0.9075 x1
H8 0.2853 0.6226 0.4135 x1
H9 0.2860 0.3987 0.6112 x1
H10 0.3238 0.1531 0.2994 x1
H11 0.3275 0.8653 0.7878 x1
H12 0.3985 0.7299 0.6149 x1
H13 0.4003 0.7368 0.9031 x1
H14 0.4079 0.2739 0.1097 x1
H15 0.4083 0.2867 0.4078 x1
H16 0.4479 0.0365 0.1314 x1
H17 0.4623 0.9683 0.6295 x1
H18 0.5601 0.9630 0.3819 x1
H19 0.5638 0.0419 0.8749 x1
H20 0.6156 0.2843 0.6035 x1
H21 0.6182 0.7215 0.3987 x1
H22 0.6200 0.7365 0.1118 x1
H23 0.6326 0.2765 0.8933 x1
H24 0.6845 0.8668 0.2254 x1
H25 0.7007 0.1471 0.7120 x1
H26 0.7076 0.4242 0.0876 x1
H27 0.7305 0.6221 0.6121 x1
H28 0.7335 0.3857 0.4026 x1
H29 0.7392 0.6146 0.8980 x1
H30 0.8643 0.3123 0.2881 x1
H31 0.8734 0.6917 0.7850 x1
H32 0.9748 0.5622 0.6261 x1
O1 0.1295 0.6924 0.1367 x1
O2 0.1407 0.3326 0.8840 x1
O3 0.1436 0.3349 0.6349 x1
O4 0.1509 0.7075 0.3973 x1
O5 0.3306 0.1448 0.1314 x1
O6 0.3413 0.8701 0.6416 x1
O7 0.3419 0.8742 0.8771 x1
O8 0.3506 0.1453 0.3851 x1
O9 0.5063 0.5075 0.4441 x1
O10 0.5086 0.5086 0.5760 x1
O11 0.5236 0.4959 0.9413 x1
O12 0.5511 0.4877 0.0716 x1
O13 0.6661 0.8763 0.1357 x1
O14 0.6747 0.1409 0.6256 x1
O15 0.6781 0.8592 0.3702 x1
O16 0.6888 0.1363 0.8684 x1
O17 0.8591 0.3003 0.3762 x1
O18 0.8733 0.6804 0.6383 x1
O19 0.8796 0.6790 0.8744 x1
O20 0.8964 0.3322 0.1382 x1



No. 9
First-principles (PBE) data for a geometry-optimized SrH16O10 structure, as listed in the Materials Project.

ρ = 1642 kg/m³
energy relative to the lowest polymorph listed for this composition = 63 meV per atom
energy of formation from the pure elements = -1.339 eV per atom

Unit cell a=6.2828 b=6.3113 c=6.7277 alpha=90.66 beta=90.94 gamma=90.20
Space group P1 (No. 1)
Symmetry-distinct sites (fractional):
Sr1 0.0000 0.0000 0.0000 x1
H1 0.0837 0.7199 0.6973 x1
H2 0.0847 0.7367 0.3245 x1
H3 0.2751 0.0757 0.3196 x1
H4 0.2835 0.0732 0.6970 x1
H5 0.3319 0.6723 0.3126 x1
H6 0.3348 0.3257 0.3136 x1
H7 0.3353 0.6701 0.7003 x1
H8 0.3389 0.3229 0.7015 x1
H9 0.6735 0.6803 0.3161 x1
H10 0.6790 0.6554 0.6931 x1
H11 0.6807 0.3311 0.3162 x1
H12 0.6826 0.3289 0.6982 x1
H13 0.7272 0.9335 0.3096 x1
H14 0.7616 0.8876 0.6449 x1
H15 0.9301 0.2639 0.3224 x1
H16 0.9347 0.2834 0.6935 x1
O1 0.2207 0.7783 0.2662 x1
O2 0.2229 0.7739 0.7465 x1
O3 0.2267 0.2138 0.2690 x1
O4 0.2377 0.2109 0.7517 x1
O5 0.5049 0.4977 0.6176 x1
O6 0.5072 0.5009 0.3948 x1
O7 0.7775 0.7918 0.2682 x1
O8 0.7888 0.2228 0.2682 x1
O9 0.7921 0.7682 0.7319 x1
O10 0.7996 0.2298 0.7446 x1



No. 10
First-principles (PBE) data for a geometry-optimized SrH16O10 structure, as listed in the Materials Project.

ρ = 1918 kg/m³
energy relative to the lowest polymorph listed for this composition = 22 meV per atom
energy of formation from the pure elements = -1.380 eV per atom

Unit cell a=6.2561 b=6.5182 c=11.2079 alpha=89.45 beta=89.53 gamma=87.91
Space group P1 (No. 1)
Symmetry-distinct sites (fractional):
Sr1 0.0000 0.0000 0.0000 x1
Sr2 0.0102 0.0005 0.4998 x1
H1 0.0318 0.5565 0.1344 x1
H2 0.0439 0.4556 0.8787 x1
H3 0.0596 0.2759 0.1458 x1
H4 0.1324 0.6860 0.2952 x1
H5 0.1486 0.3190 0.7130 x1
H6 0.2692 0.6321 0.1188 x1
H7 0.2767 0.3876 0.5963 x1
H8 0.2820 0.3809 0.9006 x1
H9 0.2857 0.5936 0.3946 x1
H10 0.2979 0.1340 0.2758 x1
H11 0.3277 0.8604 0.7185 x1
H12 0.3807 0.2520 0.1106 x1
H13 0.4017 0.7255 0.6059 x1
H14 0.4022 0.7292 0.9002 x1
H15 0.4489 0.0806 0.3834 x1
H16 0.4606 0.9634 0.8807 x1
H17 0.5121 0.9821 0.1278 x1
H18 0.5510 0.0367 0.6212 x1
H19 0.6138 0.2720 0.6036 x1
H20 0.6140 0.2718 0.8970 x1
H21 0.6186 0.7540 0.1100 x1
H22 0.6387 0.7567 0.3978 x1
H23 0.6657 0.4290 0.4119 x1
H24 0.6833 0.1396 0.7813 x1
H25 0.6924 0.8904 0.2823 x1
H26 0.6942 0.4263 0.0889 x1
H27 0.7291 0.6173 0.6122 x1
H28 0.7411 0.6111 0.8981 x1
H29 0.8712 0.3225 0.2747 x1
H30 0.8735 0.6895 0.7849 x1
H31 0.9744 0.4317 0.3851 x1
H32 0.9735 0.5561 0.6226 x1
O1 0.1237 0.6852 0.1356 x1
O2 0.1362 0.3320 0.6243 x1
O3 0.1381 0.6549 0.3823 x1
O4 0.1429 0.3311 0.8711 x1
O5 0.3035 0.1276 0.1302 x1
O6 0.3039 0.1358 0.3669 x1
O7 0.3415 0.8660 0.6294 x1
O8 0.3405 0.8663 0.8730 x1
O9 0.5150 0.5013 0.5683 x1
O10 0.5238 0.4975 0.9413 x1
O11 0.5385 0.5292 0.4377 x1
O12 0.5463 0.4958 0.0732 x1
O13 0.6557 0.8961 0.1295 x1
O14 0.6705 0.1316 0.8706 x1
O15 0.6723 0.1314 0.6295 x1
O16 0.6964 0.8917 0.3717 x1
O17 0.8671 0.3254 0.3698 x1
O18 0.8717 0.6769 0.6330 x1
O19 0.8814 0.6736 0.8741 x1
O20 0.9133 0.3431 0.1444 x1



- Among the records above, which one has the lowest ρ?
  number 9